[1]
Below is a relaxed Ba9Y2Si6O24 crystal, with properties calculated at the GGA-PBE level.

Unit cell a=10.1744 b=10.1744 c=22.4861 alpha=90.00 beta=90.00 gamma=120.00
Space group R-3 (No. 148, hexagonal axes)
One atom of each set of equivalent atoms:
Ba  0.0000  0.0000  0.0000
Ba  0.0000  0.0000  0.3378
Ba  0.0041  0.6980  0.5579
Y  0.0000  0.0000  0.1641
Si  0.0056  0.6512  0.4071
O  0.0034  0.8066  0.4260
O  0.0085  0.1799  0.8989
O  0.0081  0.8259  0.7783
O  0.0275  0.6285  0.3372

total moment	0.0	Bohr magnetons per cell
formation energy from the elements	-3.446	eV/atom

[2]
Below is a relaxed BaZn2Si2O7 crystal, with properties calculated at the GGA-PBE level.

Unit cell a=13.1669 b=7.7511 c=6.8248 alpha=90.00 beta=90.00 gamma=90.00
Space group Cmc2_1 (No. 36)
One atom of each set of equivalent atoms:
Ba  0.0000  0.2398  0.0000
Zn  0.2262  0.0008  0.7535
Si  0.1164  0.2994  0.4987
O  0.0000  0.3932  0.4970
O  0.1253  0.1837  0.6959
O  0.1306  0.1931  0.2952
O  0.1953  0.4669  0.5031

total moment	0.0	Bohr magnetons per cell
formation energy from the elements	-2.852	eV/atom

[3]
Below is a relaxed Ba2ZnSi2O7 crystal, with properties calculated at the GGA-PBE level.

Unit cell a=8.5403 b=10.8832 c=8.5518 alpha=90.00 beta=110.97 gamma=90.00
Space group C2/c (No. 15)
One atom of each set of equivalent atoms:
Ba  0.2266  0.0420  0.4740
Zn  0.0000  0.2585  0.7500
Si  0.1138  0.2814  0.1372
O  0.0000  0.3337  0.2500
O  0.0280  0.3525  0.9563
O  0.1091  0.1326  0.1326
O  0.2000  0.1569  0.7652

total moment	0.0	Bohr magnetons per cell
formation energy from the elements	-3.146	eV/atom

[4]
Below is a relaxed BaZn2Si2O7 crystal, with properties calculated at the GGA-PBE level.

Unit cell a=13.0847 b=7.9984 c=6.7117 alpha=90.00 beta=90.00 gamma=90.00
Space group Cmcm (No. 63)
One atom of each set of equivalent atoms:
Ba  0.0000  0.2288  0.2500
Zn  0.2242  0.5000  0.0000
Si  0.1187  0.2055  0.7500
O  0.0000  0.1195  0.7500
O  0.1309  0.3105  0.5445
O  0.1932  0.0368  0.7500

total moment	0.0	Bohr magnetons per cell
formation energy from the elements	-2.856	eV/atom

[5]
Below is a relaxed Ba2Zr2Si3O12 crystal, with properties calculated at the GGA-PBE level.

Unit cell a=10.4649 b=10.4649 c=10.4649 alpha=90.00 beta=90.00 gamma=90.00
Space group P2_13 (No. 198)
One atom of each set of equivalent atoms:
Ba  0.0520  0.0520  0.0520
Ba  0.1844  0.3156  0.6844
Zr  0.1007  0.8993  0.3993
Zr  0.1651  0.6651  0.8349
Si  0.0199  0.2140  0.3760
O  0.0064  0.5630  0.7648
O  0.0128  0.0667  0.3213
O  0.0511  0.8083  0.2284
O  0.0930  0.8340  0.7566

total moment	0.0	Bohr magnetons per cell
formation energy from the elements	-3.495	eV/atom

[6]
Below is a relaxed BaZrSi3O9 crystal, with properties calculated at the GGA-PBE level.

Unit cell a=6.8701 b=6.8701 c=10.2055 alpha=90.00 beta=90.00 gamma=120.00
Space group P-6c2 (No. 188)
One atom of each set of equivalent atoms:
Ba  0.0000  0.0000  0.0000
Zr  0.6667  0.3333  0.0000
Si  0.0550  0.4464  0.2500
O  0.1389  0.4214  0.7500
O  0.4090  0.0843  0.1172

total moment	0.0	Bohr magnetons per cell
maximum piezoelectric response	0.171	C/m²
formation energy from the elements	-3.464	eV/atom

[7]
Below is a relaxed BaSm2O4 crystal, with properties calculated at the GGA-PBE level.

Unit cell a=10.6637 b=3.5791 c=12.4649 alpha=90.00 beta=90.00 gamma=90.00
Space group Pnma (No. 62)
One atom of each set of equivalent atoms:
Ba  0.2476  0.2500  0.1477
Sm  0.0766  0.2500  0.3887
Sm  0.0769  0.2500  0.8890
O  0.0173  0.7500  0.7828
O  0.0712  0.2500  0.5753
O  0.1190  0.7500  0.0189
O  0.2103  0.7500  0.3347

formation energy from the elements	-3.575	eV/atom

[8]
Below is a relaxed BaSrSm4O8 crystal, with properties calculated at the GGA-PBE level.

Unit cell a=3.5558 b=12.3649 c=10.4594 alpha=90.00 beta=90.00 gamma=90.00
Space group Pmc2_1 (No. 26)
One atom of each set of equivalent atoms:
Ba  0.0000  0.1028  0.0000
Sr  0.5000  0.3966  0.5013
Sm  0.0000  0.1416  0.3332
Sm  0.0000  0.3653  0.8231
Sm  0.5000  0.1393  0.6747
Sm  0.5000  0.3634  0.1699
O  0.0000  0.0337  0.7380
O  0.0000  0.2713  0.6211
O  0.0000  0.3305  0.3258
O  0.0000  0.4276  0.0365
O  0.5000  0.0791  0.4636
O  0.5000  0.1751  0.1830
O  0.5000  0.2350  0.8723
O  0.5000  0.4668  0.7591

total moment	0.0	Bohr magnetons per cell
formation energy from the elements	-3.590	eV/atom